# Be2SiO4 PBE optimized geometry
# Symmetry: P-1, No. 2
# Formation energy from the elements in eV/atom: -2.49
# Energy above the lowest structure with this stoichiometry in meV per atom: 684
data_Be2SiO4
_cell_length_a 6.220
_cell_length_b 7.582
_cell_length_c 11.870
_cell_angle_alpha 97.61
_cell_angle_beta 111.20
_cell_angle_gamma 75.03
_symmetry_space_group_name_H-M 'P 1'
_symmetry_Int_Tables_number 1
_symmetry_space_group_name_Hall 'P 1'
loop_
_atom_site_label
_atom_site_fract_x
_atom_site_fract_y
_atom_site_fract_z
O1 0.649 0.894 0.116
O2 0.414 0.584 0.235
Si1 0.827 0.276 0.399
O3 0.387 0.438 0.812
Si2 0.894 0.390 0.238
O4 0.351 0.106 0.884
Be1 0.639 0.543 0.573
O5 0.189 0.394 0.317
Si3 0.106 0.610 0.762
O6 0.613 0.562 0.188
O7 0.055 0.177 0.510
Be2 0.315 0.786 0.266
Be3 0.685 0.214 0.734
Be4 0.723 0.692 0.119
Be5 0.229 0.427 0.185
O8 0.635 0.746 0.868
O9 0.108 0.808 0.835
O10 0.945 0.823 0.490
O11 0.932 0.523 0.134
Be6 0.931 0.975 0.783
O12 0.586 0.416 0.765
O13 0.068 0.477 0.866
O14 0.669 0.042 0.784
Be7 0.069 0.025 0.217
O15 0.638 0.397 0.466
Si4 0.510 0.057 0.184
O16 0.365 0.254 0.132
Be8 0.277 0.308 0.881
O17 0.902 0.133 0.697
O18 0.098 0.867 0.303
Be9 0.058 0.085 0.618
Be10 0.771 0.573 0.815
O19 0.892 0.192 0.165
Be11 0.942 0.915 0.382
Si5 0.173 0.724 0.601
O20 0.331 0.958 0.216
Si6 0.490 0.943 0.816
O21 0.711 0.087 0.328
Be12 0.361 0.457 0.427
O22 0.289 0.913 0.672
O23 0.362 0.603 0.534
O24 0.811 0.606 0.683